A plane-wave DFT calculation with PBE was carried out for a relaxed structure of Mg2SnSe4.

Summary:
- E (MP2020): -4.148 eV per atom

```
data_Mg2SnSe4
_chemical_formula_sum 'Mg8 Sn4 Se16'
_cell_length_a 13.769
_cell_length_b 8.070
_cell_length_c 6.568
_cell_angle_alpha 90.00
_cell_angle_beta 90.00
_cell_angle_gamma 90.00
_space_group_name_H-M_alt 'P n m a'
_space_group_IT_number 62
loop_
_space_group_symop_operation_xyz
'x,y,z'
'-x,-y,-z'
'-x+1/2,-y,z+1/2'
'x+1/2,y,-z+1/2'
'x+1/2,-y+1/2,-z+1/2'
'-x+1/2,y+1/2,z+1/2'
'-x,y+1/2,-z'
'x,-y+1/2,z'
loop_
_atom_site_label
_atom_site_type_symbol
_atom_site_fract_x
_atom_site_fract_y
_atom_site_fract_z
Mg1 Mg 0.000 0.000 0.000
Mg2 Mg 0.231 0.250 0.497
Sn1 Sn 0.089 0.750 0.418
Se1 Se 0.078 0.250 0.758
Se2 Se 0.093 0.750 0.804
Se3 Se 0.171 0.506 0.234
```

A plane-wave DFT calculation with PBE was carried out for a relaxed structure of Lu6AgTe2.

Summary:
- E (MP2020): -4.739 eV per atom

```
data_Lu6AgTe2
_chemical_formula_sum 'Lu24 Ag4 Te8'
_cell_length_a 21.469
_cell_length_b 3.983
_cell_length_c 11.382
_cell_angle_alpha 90.00
_cell_angle_beta 90.00
_cell_angle_gamma 90.00
_space_group_name_H-M_alt 'P n m a'
_space_group_IT_number 62
loop_
_space_group_symop_operation_xyz
'x,y,z'
'-x,-y,-z'
'-x+1/2,-y,z+1/2'
'x+1/2,y,-z+1/2'
'x+1/2,-y+1/2,-z+1/2'
'-x+1/2,y+1/2,z+1/2'
'-x,y+1/2,-z'
'x,-y+1/2,z'
loop_
_atom_site_label
_atom_site_type_symbol
_atom_site_fract_x
_atom_site_fract_y
_atom_site_fract_z
Lu1 Lu 0.009 0.250 0.111
Lu2 Lu 0.029 0.750 0.379
Lu3 Lu 0.109 0.250 0.818
Lu4 Lu 0.140 0.750 0.061
Lu5 Lu 0.160 0.250 0.529
Lu6 Lu 0.232 0.750 0.741
Ag1 Ag 0.076 0.750 0.634
Te1 Te 0.127 0.250 0.268
Te2 Te 0.237 0.250 0.957
```

A plane-wave DFT calculation with PBE was carried out for a relaxed structure of RbPrTe4.

Summary:
- E (MP2020): -4.299 eV per atom

```
data_RbPrTe4
_chemical_formula_sum 'Rb2 Pr2 Te8'
_cell_length_a 6.991
_cell_length_b 6.991
_cell_length_c 9.352
_cell_angle_alpha 90.00
_cell_angle_beta 90.00
_cell_angle_gamma 90.00
_space_group_name_H-M_alt 'P 4/n b m'
_space_group_IT_number 125
loop_
_space_group_symop_operation_xyz
'x,y,z'
'-x,-y,-z'
'-y+1/2,x,z'
'y+1/2,-x,-z'
'-x+1/2,-y+1/2,z'
'x+1/2,y+1/2,-z'
'y,-x+1/2,z'
'-y,x+1/2,-z'
'x,-y+1/2,-z'
'-x,y+1/2,z'
'-y+1/2,-x+1/2,-z'
'y+1/2,x+1/2,z'
'-x+1/2,y,-z'
'x+1/2,-y,z'
'y,x,-z'
'-y,-x,z'
loop_
_atom_site_label
_atom_site_type_symbol
_atom_site_fract_x
_atom_site_fract_y
_atom_site_fract_z
Rb1 Rb 0.250 0.250 0.000
Pr1 Pr 0.250 0.250 0.500
Te1 Te 0.107 0.607 0.294
```

A plane-wave DFT calculation with PBE was carried out for a relaxed structure of Tm4CdPt.

```
data_Tm4CdPt
_chemical_formula_sum 'Tm64 Cd16 Pt16'
_cell_length_a 13.489
_cell_length_b 13.489
_cell_length_c 13.489
_cell_angle_alpha 90.00
_cell_angle_beta 90.00
_cell_angle_gamma 90.00
_space_group_name_H-M_alt 'F -4 3 m'
_space_group_IT_number 216
_space_group_name_Hall 'F -4 2 3'
loop_
_atom_site_label
_atom_site_type_symbol
_atom_site_fract_x
_atom_site_fract_y
_atom_site_fract_z
Tm1 Tm 0.000 0.000 0.185
Tm2 Tm 0.061 0.250 0.750
Tm3 Tm 0.103 0.103 0.397
Cd1 Cd 0.168 0.168 0.168
Pt1 Pt 0.107 0.107 0.607
```

A plane-wave DFT calculation with PBE was carried out for a relaxed structure of Cs2RbCeCl6.

Summary:
- E (MP2020): -4.445 eV per atom

```
data_Cs2RbCeCl6
_chemical_formula_sum 'Cs8 Rb4 Ce4 Cl24'
_cell_length_a 11.792
_cell_length_b 11.792
_cell_length_c 11.792
_cell_angle_alpha 90.00
_cell_angle_beta 90.00
_cell_angle_gamma 90.00
_space_group_name_H-M_alt 'F m -3 m'
_space_group_IT_number 225
_space_group_name_Hall '-F 4 2 3'
loop_
_atom_site_label
_atom_site_type_symbol
_atom_site_fract_x
_atom_site_fract_y
_atom_site_fract_z
Cs1 Cs 0.250 0.250 0.250
Rb1 Rb 0.000 0.000 0.000
Ce1 Ce 0.000 0.000 0.500
Cl1 Cl 0.000 0.000 0.267
```

A plane-wave DFT calculation with PBE was carried out for a relaxed structure of BaYF5.

Summary:
- E (MP2020): -6.867 eV per atom
- Energy relative to the lowest polymorph listed for this composition: 40 meV/atom

```
data_BaYF5
_chemical_formula_sum 'Ba1 Y1 F5'
_cell_length_a 3.907
_cell_length_b 3.907
_cell_length_c 6.764
_cell_angle_alpha 90.00
_cell_angle_beta 90.00
_cell_angle_gamma 90.00
_space_group_name_H-M_alt 'P 4/m m m'
_space_group_IT_number 123
_space_group_name_Hall '-P 4 2'
loop_
_atom_site_label
_atom_site_type_symbol
_atom_site_fract_x
_atom_site_fract_y
_atom_site_fract_z
Ba1 Ba 0.000 0.000 0.000
Y1 Y 0.500 0.500 0.500
F1 F 0.000 0.500 0.314
F2 F 0.500 0.500 0.000
```

| no. | formation energy from the elements (kcal/mol of atoms) |
| --- | --- |
| 1 | -25.84 |
| 2 | -16.41 |
| 3 | -28.68 |
| 4 | -14.38 |
| 5 | -56.85 |
| 6 | -99.19 |